(1)
# Na4IrO4

An optimized crystal structure of Na4IrO4 (GGA-PBE, the Materials Project database).

a = 4.767 Å, b = 5.630 Å, c = 5.630 Å
α = 79.68°, β = 64.96°, γ = 64.96°
Element x y z (fractional)
Na 0.407 0.790 0.395
Na 0.803 0.605 0.790
Na 0.593 0.210 0.605
Na 0.197 0.395 0.210
Ir 0.000 0.000 0.000
O 0.916 0.828 0.339
O 0.084 0.172 0.661
O 0.744 0.339 0.172
O 0.256 0.661 0.828

---

(2)
# NaIrO3

An optimized crystal structure of NaIrO3 (GGA-PBE, the Materials Project database).

a = 5.433 Å, b = 5.433 Å, c = 7.230 Å
α = 90.00°, β = 90.00°, γ = 146.66°
Element x y z (fractional)
Na 0.748 0.252 0.250
Na 0.252 0.748 0.750
Ir 0.000 0.000 0.500
Ir 0.000 0.000 0.000
O 0.073 0.927 0.250
O 0.927 0.073 0.750
O 0.387 0.613 0.443
O 0.613 0.387 0.557
O 0.387 0.613 0.057
O 0.613 0.387 0.943

---

(3)
# NaPr2IrO6

An optimized crystal structure of NaPr2IrO6 (GGA-PBE, the Materials Project database).

a = 6.011 Å, b = 5.581 Å, c = 9.736 Å
α = 55.85°, β = 90.00°, γ = 90.00°
Element x y z (fractional)
Na 0.500 0.000 0.500
Na 0.000 0.000 0.000
Pr 0.427 0.774 0.247
Pr 0.073 0.774 0.747
Pr 0.927 0.226 0.253
Pr 0.573 0.226 0.753
Ir 0.000 0.500 0.500
Ir 0.500 0.500 0.000
O 0.719 0.730 0.434
O 0.219 0.270 0.066
O 0.281 0.270 0.566
O 0.781 0.730 0.934
O 0.047 0.615 0.268
O 0.547 0.385 0.232
O 0.953 0.385 0.732
O 0.453 0.615 0.768
O 0.325 0.846 0.948
O 0.825 0.154 0.552
O 0.675 0.154 0.052
O 0.175 0.846 0.448

---

(4)
# Rb2Na2IrO4

An optimized crystal structure of Rb2Na2IrO4 (GGA-PBE, the Materials Project database).

a = 11.256 Å, b = 6.311 Å, c = 9.902 Å
α = 65.08°, β = 90.00°, γ = 90.00°
Element x y z (fractional)
Rb 0.867 0.342 0.778
Rb 0.135 0.325 0.004
Rb 0.635 0.675 0.496
Rb 0.365 0.325 0.504
Rb 0.367 0.658 0.722
Rb 0.133 0.658 0.222
Rb 0.633 0.342 0.278
Rb 0.865 0.675 0.996
Na 0.611 0.937 0.094
Na 0.609 0.436 0.910
Na 0.891 0.436 0.410
Na 0.889 0.937 0.594
Na 0.109 0.564 0.590
Na 0.111 0.063 0.406
Na 0.391 0.564 0.090
Na 0.389 0.063 0.906
Ir 0.867 0.010 0.237
Ir 0.633 0.010 0.737
Ir 0.367 0.990 0.263
Ir 0.133 0.990 0.763
O 0.958 0.795 0.408
O 0.455 0.729 0.260
O 0.278 0.254 0.261
O 0.729 0.215 0.572
O 0.271 0.785 0.428
O 0.542 0.795 0.908
O 0.778 0.746 0.239
O 0.771 0.215 0.072
O 0.955 0.271 0.240
O 0.229 0.785 0.928
O 0.042 0.205 0.592
O 0.222 0.254 0.761
O 0.545 0.271 0.740
O 0.045 0.729 0.760
O 0.722 0.746 0.739
O 0.458 0.205 0.092

---

(5)
# NaSm2IrO6

An optimized crystal structure of NaSm2IrO6 (GGA-PBE, the Materials Project database).

a = 5.937 Å, b = 5.505 Å, c = 9.594 Å
α = 56.25°, β = 90.00°, γ = 90.00°
Element x y z (fractional)
Na 0.500 0.000 0.500
Na 0.000 0.000 0.000
Sm 0.075 0.778 0.745
Sm 0.575 0.222 0.755
Sm 0.425 0.778 0.245
Sm 0.925 0.222 0.255
Ir 0.500 0.500 0.000
Ir 0.000 0.500 0.500
O 0.717 0.734 0.426
O 0.217 0.266 0.074
O 0.283 0.266 0.574
O 0.783 0.734 0.926
O 0.057 0.602 0.268
O 0.557 0.398 0.232
O 0.943 0.398 0.732
O 0.443 0.602 0.768
O 0.327 0.854 0.945
O 0.827 0.146 0.555
O 0.673 0.146 0.055
O 0.173 0.854 0.445

---

(6)
# NaSr3IrO6

An optimized crystal structure of NaSr3IrO6 (GGA-PBE, the Materials Project database).

a = 6.832 Å, b = 6.832 Å, c = 6.832 Å
α = 90.79°, β = 90.79°, γ = 90.79°
Element x y z (fractional)
Na 0.750 0.750 0.750
Na 0.250 0.250 0.250
Sr 0.250 0.892 0.608
Sr 0.608 0.250 0.892
Sr 0.892 0.608 0.250
Sr 0.750 0.108 0.392
Sr 0.392 0.750 0.108
Sr 0.108 0.392 0.750
Ir 0.500 0.500 0.500
Ir 0.000 0.000 0.000
O 0.944 0.279 0.077
O 0.077 0.944 0.279
O 0.279 0.077 0.944
O 0.556 0.423 0.221
O 0.221 0.556 0.423
O 0.423 0.221 0.556
O 0.056 0.721 0.923
O 0.923 0.056 0.721
O 0.721 0.923 0.056
O 0.444 0.577 0.779
O 0.577 0.779 0.444
O 0.779 0.444 0.577

---

no.,energy relative to the elements (eV per atom),total DFT energy (no corrections) (eV per formula unit)
1,-1.575,-45.3
2,-1.476,-30.3
3,-2.626,-71.5
4,-1.537,-44.3
5,-2.660,-71.8
6,-2.468,-67.9